(1)
## LiVNiO4 (PBE+U)

Data for a relaxed structure of LiVNiO4.

Summary:
Total DFT energy (no corrections) (eV/atom): -6.329
Space group: No. 63
Relative energy among the computed polymorphs (eV per atom): 0.007
Formation enthalpy at 0 K (meV per atom): -2104

Structure (extended XYZ):
```
14
Lattice="-4.901 -0.019 1.625 1.893 1.681 5.731 -2.372 4.553 -0.552" Properties=species:S:1:pos:R:3 pbc="T T T"
O -3.651 1.474 2.486
O -2.977 2.484 5.392
O -2.403 3.730 1.412
O -4.548 4.346 3.846
O -1.671 1.123 0.416
O -3.708 5.092 6.388
O -1.729 4.740 4.318
O -0.831 1.868 2.958
Li -1.020 2.782 4.658
Li -4.360 3.433 2.146
Ni 0.947 0.840 2.865
Ni 0.000 0.000 0.000
V -2.092 2.019 1.811
V -3.288 4.195 4.993
```

(2)
## LiFe4P3O12 (PBE+U)

Data for a relaxed structure of LiFe4P3O12.

Summary:
Total DFT energy (no corrections) (eV/atom): -6.988
Space group: No. 9
Relative energy among the computed polymorphs (eV per atom): 0.029
Formation enthalpy at 0 K (meV per atom): -2281

Structure (extended XYZ):
```
40
Lattice="6.388 5.916 0.000 -6.388 5.916 0.000 0.000 3.001 5.891" Properties=species:S:1:pos:R:3 pbc="T T T"
P -2.549 6.665 1.463
P -1.347 5.291 5.172
P 2.549 8.165 4.409
P 1.415 9.547 0.748
P -1.415 11.048 3.693
P 1.347 3.791 2.226
O -1.239 9.512 4.053
O 3.414 8.028 3.152
O 1.497 6.979 4.343
O -1.497 5.479 1.398
O 1.239 8.012 1.108
O -2.207 4.650 4.067
O -1.530 7.863 1.572
O 2.207 3.149 1.122
O 4.270 8.166 0.634
O 2.281 10.193 1.850
O -3.414 6.528 0.206
O -0.009 4.523 5.386
O -0.056 11.790 3.529
O -2.281 11.694 4.796
O 1.106 5.315 1.802
O 3.406 8.276 5.684
O 4.243 5.267 2.310
O -1.106 6.815 4.748
O 1.530 9.363 4.518
O 0.056 10.290 0.583
O -3.406 6.775 2.739
O 0.009 3.023 2.440
O -4.243 6.767 5.256
O -4.270 9.666 3.579
Fe 1.992 11.187 3.732
Fe 0.086 7.064 2.730
Fe -1.992 9.687 0.786
Fe -0.086 8.564 5.675
Fe -2.965 8.200 4.370
Fe 2.965 6.699 1.424
Fe 2.038 5.169 5.142
Fe -2.038 3.668 2.196
Li 6.282 8.106 4.420
Li -6.282 6.606 1.475
```

(3)
## LiV2O3F (PBE+U)

Data for a relaxed structure of LiV2O3F.

Summary:
Total DFT energy (no corrections) (eV/atom): -7.045
Space group: No. 44
Relative energy among the computed polymorphs (eV per atom): 0.011
Formation enthalpy at 0 K (meV per atom): -2629

Structure (extended XYZ):
```
28
Lattice="-3.050 4.272 6.042 3.050 -4.272 6.042 3.050 4.272 -6.042" Properties=species:S:1:pos:R:3 pbc="T T T"
O 1.695 0.148 4.531
O 0.000 2.182 8.883
O 1.354 4.420 1.511
O -1.363 4.130 4.550
O 0.000 6.358 0.000
O 1.695 0.148 7.553
O 0.000 2.182 3.201
O 0.000 2.237 6.042
O 1.363 4.130 4.550
O 1.354 4.420 -1.511
O 1.686 -0.143 1.493
O 4.413 -0.143 1.493
V -1.485 2.133 7.546
V 3.050 0.114 0.000
V 0.000 4.193 0.000
V 1.485 2.133 4.539
V 1.485 2.133 7.546
V -1.485 2.133 4.539
V 3.050 -0.109 3.020
V 0.000 4.163 3.022
F 3.050 2.069 3.083
F 3.050 2.155 0.000
F 0.000 2.156 0.000
F 0.000 6.342 2.959
Li 3.049 3.350 -1.466
Li 3.050 3.350 1.466
Li 0.000 0.988 1.508
Li 0.000 0.988 10.576
```

(4)
## NiPO4 (PBE+U)

Data for a relaxed structure of NiPO4.

Summary:
Total DFT energy (no corrections) (eV/atom): -6.137
Space group: No. 159
Formation enthalpy at 0 K (meV per atom): -1855

Structure (extended XYZ):
```
36
Lattice="3.673 -6.363 0.000 3.673 6.363 0.000 0.000 0.000 9.374" Properties=species:S:1:pos:R:3 pbc="T T T"
P 3.673 -2.121 6.222
P 0.000 0.000 0.135
P 0.000 0.000 4.822
P 3.673 2.121 1.535
P 3.673 -2.121 2.575
P 3.673 2.121 7.262
O 3.701 -4.894 8.974
O 3.701 4.894 4.287
O 2.964 -0.835 5.774
O 3.673 2.121 3.154
O 6.061 -0.711 8.974
O 6.061 0.711 4.287
O 5.141 2.150 1.087
O 3.873 0.674 7.734
O 2.915 3.378 1.087
O 2.964 0.835 1.087
O 3.673 2.121 5.662
O 0.000 0.000 6.341
O 4.827 -3.018 3.047
O 3.673 -2.121 7.841
O 5.141 -2.150 5.774
O 1.258 0.758 4.287
O 3.873 -0.674 3.047
O 1.258 -0.758 8.974
O 3.673 -2.121 0.975
O 2.320 2.671 7.734
O 0.000 0.000 1.654
O 4.827 3.018 7.734
O 2.915 -3.378 5.774
O 2.320 -2.671 3.047
Ni 5.420 -2.480 9.043
Ni 3.112 -0.429 9.043
Ni 2.489 3.453 4.356
Ni 3.112 0.429 4.356
Ni 5.420 2.480 4.356
Ni 2.489 -3.453 9.043
```